First-principles (GGA-PBE) data for an optimized crystal structure of MgBi, as listed in Materials Project.

Lattice parameters (Å, degrees): 5.396 10.321 6.069 90.00 90.00 90.00
Fractional coordinates of all 12 atoms:
Mg1 0.000 0.192 0.824
Mg2 0.500 0.500 0.511
Mg3 0.500 0.000 0.011
Mg4 0.000 0.308 0.324
Mg5 0.000 0.692 0.324
Mg6 0.000 0.808 0.824
Bi1 0.000 0.500 0.714
Bi2 0.500 0.157 0.564
Bi3 0.500 0.657 0.064
Bi4 0.000 0.000 0.214
Bi5 0.500 0.343 0.064
Bi6 0.500 0.843 0.564

Results
The value obtained for the total magnetization is 0.0 μB/cell. Its energy relative to the elements is -0.0711 eV/atom.

***

First-principles (GGA-PBE) data for an optimized crystal structure of MgBi, as listed in Materials Project.

Lattice parameters (Å, degrees): 5.776 5.776 6.020 71.27 71.27 65.09
Fractional coordinates of all 6 atoms:
Mg1 0.998 0.337 0.997
Mg2 0.502 0.498 0.500
Mg3 0.663 0.002 0.003
Bi1 0.380 0.620 0.000
Bi2 0.807 0.850 0.504
Bi3 0.150 0.193 0.496

Results
The value obtained for the total magnetization is 0.0 μB/cell. As for the symmetry: C2. Its energy relative to the elements is -0.0421 eV/atom.

***

First-principles (GGA-PBE) data for an optimized crystal structure of Mg2Bi, as listed in Materials Project.

Lattice parameters (Å, degrees): 6.266 6.266 7.847 79.73 79.73 31.18
Fractional coordinates of all 6 atoms:
Mg1 0.340 0.340 0.327
Mg2 0.662 0.662 0.671
Mg3 0.999 0.999 0.999
Mg4 0.277 0.277 0.945
Bi1 0.926 0.926 0.635
Bi2 0.628 0.628 0.255

Results
The value obtained for the total magnetization is 0.0 μB/cell. As for the symmetry: Cm. Its energy relative to the elements is 0.0172 eV/atom.

***

First-principles (GGA-PBE) data for an optimized crystal structure of Mg2Bi, as listed in Materials Project.

Lattice parameters (Å, degrees): 6.213 6.213 8.314 68.74 68.74 31.76
Fractional coordinates of all 6 atoms:
Mg1 0.829 0.829 0.135
Mg2 0.849 0.849 0.531
Mg3 0.151 0.151 0.469
Mg4 0.171 0.171 0.865
Bi1 0.548 0.548 0.214
Bi2 0.452 0.452 0.786

Results
The value obtained for the total magnetization is 0.0 μB/cell. As for the symmetry: C2/m. Its energy relative to the elements is -0.0168 eV/atom.

***

First-principles (GGA-PBE) data for an optimized crystal structure of Mg3Bi2, as listed in Materials Project.

Lattice parameters (Å, degrees): 4.722 4.722 7.449 90.00 90.00 120.00
Fractional coordinates of all 5 atoms:
Mg1 0.667 0.333 0.629
Mg2 0.000 0.000 0.000
Mg3 0.333 0.667 0.371
Bi1 0.667 0.333 0.221
Bi2 0.333 0.667 0.779

Results
As for the symmetry: P-3m1. Its energy relative to the elements is -0.1968 eV/atom. The excess energy over the best structure of this formula in the dataset is 0 meV per atom.

***

First-principles (GGA-PBE) data for an optimized crystal structure of MgBi, as listed in Materials Project.

Lattice parameters (Å, degrees): 3.274 5.630 5.924 90.00 90.00 90.00
Fractional coordinates of all 4 atoms:
Bi1 0.500 0.250 0.699
Bi2 0.500 0.750 0.301
Mg1 0.000 0.750 0.823
Mg2 0.000 0.250 0.177

Results
The value obtained for the total magnetization is 0.0 μB/cell. As for the symmetry: Pmma. Its energy relative to the elements is -0.0614 eV/atom.

***

First-principles (GGA-PBE) data for an optimized crystal structure of MgBi, as listed in Materials Project.

Lattice parameters (Å, degrees): 6.197 6.197 8.764 69.93 69.93 31.63
Fractional coordinates of all 6 atoms:
Mg1 0.019 0.019 0.999
Mg2 0.313 0.313 0.329
Mg3 0.395 0.395 0.726
Bi1 0.672 0.672 0.670
Bi2 0.017 0.017 0.400
Bi3 0.750 0.750 0.042

Results
The value obtained for the total magnetization is 0.0 μB/cell. As for the symmetry: Cm. Its energy relative to the elements is -0.0120 eV/atom.

***

First-principles (GGA-PBE) data for an optimized crystal structure of MgBi2, as listed in Materials Project.

Lattice parameters (Å, degrees): 9.094 9.094 5.731 90.00 90.00 158.54
Fractional coordinates of all 6 atoms:
Mg1 0.443 0.557 0.750
Mg2 0.557 0.443 0.250
Bi1 0.095 0.905 0.750
Bi2 0.790 0.210 0.750
Bi3 0.905 0.095 0.250
Bi4 0.210 0.790 0.250

Results
The value obtained for the total magnetization is 0.0 μB/cell. As for the symmetry: Cmcm. Its energy relative to the elements is -0.0075 eV/atom.

***

First-principles (GGA-PBE) data for an optimized crystal structure of Mg2BiN3, as listed in Materials Project.

Lattice parameters (Å, degrees): 6.090 6.056 5.600 90.00 90.00 119.82
Fractional coordinates of all 12 atoms:
N1 0.662 0.667 0.369
N2 0.338 0.333 0.869
N3 0.662 0.996 0.869
N4 0.000 0.670 0.880
N5 0.338 0.004 0.369
N6 0.000 0.330 0.380
Mg1 0.344 0.335 0.493
Mg2 0.656 0.992 0.493
Mg3 0.656 0.665 0.993
Mg4 0.344 0.008 0.993
Bi1 0.000 0.682 0.484
Bi2 0.000 0.318 0.984

Results
The value obtained for the total magnetization is 0.0 μB/cell. As for the symmetry: Cmc2_1. Its energy relative to the elements is -0.2520 eV/atom.

***

First-principles (GGA-PBE) data for an optimized crystal structure of NaMg6Bi, as listed in Materials Project.

Lattice parameters (Å, degrees): 5.332 6.442 11.563 90.00 90.00 90.00
Fractional coordinates of all 16 atoms:
Mg1 0.000 0.000 0.335
Mg2 0.000 0.754 0.080
Mg3 0.500 0.248 0.416
Mg4 0.500 0.752 0.416
Mg5 0.000 0.254 0.580
Mg6 0.000 0.500 0.338
Mg7 0.000 0.246 0.080
Mg8 0.000 0.746 0.580
Mg9 0.000 0.000 0.838
Mg10 0.500 0.748 0.916
Mg11 0.500 0.252 0.916
Mg12 0.000 0.500 0.835
Bi1 0.500 0.000 0.666
Bi2 0.500 0.500 0.166
Na1 0.500 0.000 0.167
Na2 0.500 0.500 0.667

Results
The value obtained for the total magnetization is 0.0 μB/cell. Its energy relative to the elements is -0.0161 eV/atom. The excess energy over the best structure of this formula in the dataset is 0 meV per atom.

***

First-principles (GGA-PBE) data for an optimized crystal structure of NaMg6Bi, as listed in Materials Project.

Lattice parameters (Å, degrees): 5.210 6.644 11.421 90.00 90.00 90.00
Fractional coordinates of all 16 atoms:
Mg1 0.500 0.755 0.418
Mg2 0.500 0.000 0.167
Mg3 0.500 0.500 0.667
Mg4 0.000 0.756 0.080
Mg5 0.000 0.500 0.836
Mg6 0.000 0.256 0.580
Mg7 0.500 0.245 0.418
Mg8 0.000 0.244 0.080
Mg9 0.000 0.744 0.580
Mg10 0.500 0.255 0.918
Mg11 0.500 0.745 0.918
Mg12 0.000 0.000 0.336
Na1 0.000 0.500 0.335
Na2 0.000 0.000 0.835
Bi1 0.500 0.500 0.167
Bi2 0.500 0.000 0.667

Results
The value obtained for the total magnetization is 0.0 μB/cell. Its energy relative to the elements is -0.0135 eV/atom. The excess energy over the best structure of this formula in the dataset is 3 meV per atom.

***

First-principles (GGA-PBE) data for an optimized crystal structure of NaMg14Bi, as listed in Materials Project.

Lattice parameters (Å, degrees): 6.503 6.503 10.581 90.00 90.00 120.00
Fractional coordinates of all 16 atoms:
Mg1 0.336 0.164 0.374
Mg2 0.666 0.332 0.125
Mg3 0.827 0.164 0.876
Mg4 0.336 0.673 0.374
Mg5 0.827 0.164 0.374
Mg6 0.667 0.833 0.625
Mg7 0.833 0.667 0.374
Mg8 0.166 0.833 0.625
Mg9 0.336 0.673 0.876
Mg10 0.666 0.834 0.125
Mg11 0.336 0.164 0.876
Mg12 0.833 0.667 0.876
Mg13 0.667 0.334 0.625
Mg14 0.168 0.834 0.125
Bi1 0.167 0.333 0.625
Na1 0.167 0.333 0.125

Results
The value obtained for the total magnetization is 0.0 μB/cell. As for the symmetry: P-6m2. Its energy relative to the elements is 0.0182 eV/atom. The excess energy over the best structure of this formula in the dataset is 29 meV per atom.